1.
meta-GGA r2SCAN Tb2Ga9Rh3, optimized geometry; space-group type = No. 63; formation energy = -1052 kJ/mol of formula units; E_tot = -0.6530 Ha/atom
1.0
6.469 -3.756 0.000
6.469 3.756 0.000
0.000 0.000 9.495
Tb Ga Rh
4 18 6
direct
0.002 0.669 0.750
0.331 0.998 0.750
0.669 0.002 0.250
0.998 0.331 0.250
0.002 0.665 0.077
0.002 0.665 0.423
0.128 0.872 0.250
0.335 0.665 0.566
0.335 0.665 0.934
0.335 0.998 0.077
0.335 0.998 0.423
0.337 0.455 0.250
0.455 0.337 0.750
0.545 0.663 0.250
0.663 0.545 0.750
0.665 0.002 0.577
0.665 0.002 0.923
0.665 0.335 0.066
0.665 0.335 0.434
0.872 0.128 0.750
0.998 0.335 0.577
0.998 0.335 0.923
0.000 0.000 0.000
0.000 0.000 0.500
0.329 0.329 0.000
0.329 0.329 0.500
0.671 0.671 0.000
0.671 0.671 0.500


2.
meta-GGA r2SCAN Er5NiPb3, optimized geometry; space-group type = No. 193; formation energy = -549 kJ/mol of formula units; E_tot = -1.4543 Ha/atom
1.0
9.014 0.000 0.000
-4.507 7.806 0.000
0.000 0.000 6.635
Er Ni Pb
10 2 6
direct
0.000 0.236 0.250
0.000 0.764 0.750
0.236 0.000 0.250
0.236 0.236 0.750
0.333 0.667 0.000
0.333 0.667 0.500
0.667 0.333 0.000
0.667 0.333 0.500
0.764 0.000 0.750
0.764 0.764 0.250
0.000 0.000 0.000
0.000 0.000 0.500
0.000 0.400 0.750
0.000 0.600 0.250
0.400 0.000 0.750
0.400 0.400 0.250
0.600 0.000 0.250
0.600 0.600 0.750


3.
meta-GGA r2SCAN LuHO2, optimized geometry; space-group type = No. 14; formation energy = -1136 kJ/mol of formula units; E_tot = -0.5995 Ha/atom
1.0
5.788 0.000 0.000
0.000 5.319 0.000
-1.864 0.000 5.478
Lu H O
4 4 8
direct
0.233 0.014 0.247
0.233 0.486 0.747
0.767 0.514 0.253
0.767 0.986 0.753
0.281 0.528 0.232
0.281 0.972 0.732
0.719 0.028 0.268
0.719 0.472 0.768
0.132 0.141 0.875
0.132 0.359 0.375
0.368 0.635 0.143
0.368 0.865 0.643
0.632 0.135 0.357
0.632 0.365 0.857
0.868 0.641 0.625
0.868 0.859 0.125


4.
meta-GGA r2SCAN CoSi2, optimized geometry; space-group type = No. 225; formation energy = -119 kJ/mol of formula units; E_tot = -0.3922 Ha/atom
1.0
0.000 2.656 2.656
2.656 0.000 2.656
2.656 2.656 0.000
Co Si
1 2
direct
0.000 0.000 0.000
0.250 0.250 0.250
0.750 0.750 0.750


- What is the E_tot in the first record?
  -0.6530 Ha/atom